# 1
Compound: MgZn2
Source: the Materials Project
Functional: PBE-GGA
Structure: optimized geometry

Results
- SG: C2/m, No. 12
- Calculated formation energy: -0.0350 eV per atom
- VASP energy: -8.45 eV/cell
- ρ: 5.12 Mg/m³

Cell: 5.520 5.520 6.638 Å, 75.78 75.78 30.95°
Atoms (fractional coordinates):
Mg  0.526  0.526  0.205
Mg  0.474  0.474  0.795
Zn  0.803  0.803  0.142
Zn  0.148  0.148  0.469
Zn  0.852  0.852  0.531
Zn  0.197  0.197  0.858

***

# 2
Compound: Gd2Au5F21
Source: the Materials Project
Functional: PBE-GGA
Structure: optimized geometry

Results
- SG: P4_12_12, No. 92
- Calculated formation energy: -2.2055 eV per atom
- VASP energy: -547.12 eV/cell
- ρ: 6.20 Mg/m³

Cell: 8.338 8.338 26.183 Å, 90.00 90.00 90.00°
Atoms (fractional coordinates):
Gd  0.431  0.943  0.749
Gd  0.569  0.057  0.249
Gd  0.557  0.931  0.999
Gd  0.057  0.569  0.751
Gd  0.931  0.557  0.001
Gd  0.443  0.069  0.499
Gd  0.069  0.443  0.501
Gd  0.943  0.431  0.251
Au  0.675  0.714  0.140
Au  0.093  0.856  0.408
Au  0.907  0.144  0.908
Au  0.407  0.356  0.842
Au  0.825  0.214  0.110
Au  0.941  0.059  0.750
Au  0.175  0.786  0.610
Au  0.356  0.407  0.158
Au  0.644  0.593  0.658
Au  0.286  0.325  0.360
Au  0.441  0.441  0.000
Au  0.714  0.675  0.860
Au  0.059  0.941  0.250
Au  0.786  0.175  0.390
Au  0.214  0.825  0.890
Au  0.144  0.907  0.092
Au  0.593  0.644  0.342
Au  0.856  0.093  0.592
Au  0.559  0.559  0.500
Au  0.325  0.286  0.640
F  0.665  0.044  0.439
F  0.962  0.312  0.959
F  0.410  0.209  0.197
F  0.437  0.678  0.999
F  0.178  0.063  0.749
F  0.590  0.791  0.697
F  0.811  0.897  0.628
F  0.689  0.397  0.622
F  0.209  0.410  0.803
F  0.934  0.330  0.166
F  0.059  0.706  0.252
F  0.478  0.638  0.608
F  0.588  0.798  0.910
F  0.978  0.862  0.142
F  0.322  0.563  0.501
F  0.798  0.588  0.090
F  0.088  0.702  0.840
F  0.937  0.822  0.751
F  0.206  0.441  0.002
F  0.702  0.088  0.160
F  0.022  0.138  0.642
F  0.170  0.434  0.416
F  0.312  0.962  0.041
F  0.138  0.022  0.358
F  0.774  0.595  0.197
F  0.280  0.720  0.750
F  0.910  0.291  0.553
F  0.165  0.456  0.311
F  0.090  0.709  0.053
F  0.830  0.566  0.916
F  0.726  0.095  0.053
F  0.780  0.780  0.000
F  0.462  0.188  0.791
F  0.330  0.934  0.834
F  0.412  0.202  0.410
F  0.397  0.689  0.378
F  0.335  0.956  0.939
F  0.822  0.937  0.249
F  0.794  0.559  0.502
F  0.862  0.978  0.858
F  0.706  0.059  0.748
F  0.678  0.437  0.001
F  0.095  0.726  0.947
F  0.311  0.603  0.122
F  0.189  0.103  0.128
F  0.688  0.038  0.541
F  0.522  0.362  0.108
F  0.905  0.274  0.447
F  0.226  0.405  0.697
F  0.298  0.912  0.660
F  0.274  0.905  0.553
F  0.791  0.590  0.303
F  0.188  0.462  0.209
F  0.897  0.811  0.372
F  0.603  0.311  0.878
F  0.456  0.165  0.689
F  0.066  0.670  0.666
F  0.362  0.522  0.892
F  0.956  0.335  0.061
F  0.566  0.830  0.084
F  0.405  0.226  0.303
F  0.103  0.189  0.872
F  0.538  0.812  0.291
F  0.434  0.170  0.584
F  0.559  0.794  0.498
F  0.720  0.280  0.250
F  0.441  0.206  0.998
F  0.835  0.544  0.811
F  0.038  0.688  0.459
F  0.912  0.298  0.340
F  0.294  0.941  0.248
F  0.595  0.774  0.803
F  0.544  0.835  0.189
F  0.044  0.665  0.561
F  0.709  0.090  0.947
F  0.638  0.478  0.392
F  0.063  0.178  0.251
F  0.202  0.412  0.590
F  0.941  0.294  0.752
F  0.220  0.220  0.500
F  0.563  0.322  0.499
F  0.812  0.538  0.709
F  0.291  0.910  0.447
F  0.670  0.066  0.334

***

# 3
Compound: SmTlTe2
Source: the Materials Project
Functional: PBE-GGA
Structure: optimized geometry

Results
- SG: R-3m, No. 166
- Calculated formation energy: -1.2815 eV per atom
- VASP energy: -17.65 eV/cell
- ρ: 6.93 Mg/m³

Cell: 4.532 4.532 8.625 Å, 74.77 74.77 60.00°
Atoms (fractional coordinates):
Sm  0.000  0.000  0.000
Tl  0.500  0.500  0.500
Te  0.739  0.739  0.783
Te  0.261  0.261  0.217

***

# 4
Compound: LiBeB
Source: the Materials Project
Functional: PBE-GGA
Structure: optimized geometry

Results
- SG: Imm2, No. 44
- Calculated formation energy: 0.1811 eV per atom
- VASP energy: -47.14 eV/cell
- ρ: 1.98 Mg/m³

Cell: 3.403 4.997 6.074 Å, 114.29 106.27 90.00°
Atoms (fractional coordinates):
Li  0.347  0.249  0.694
Li  0.653  0.555  0.306
Li  0.500  0.146  0.000
Li  0.000  0.901  0.000
Be  0.177  0.310  0.353
Be  0.823  0.957  0.647
Be  0.173  0.837  0.347
Be  0.827  0.491  0.653
B  0.666  0.044  0.332
B  0.334  0.712  0.668
B  0.500  0.662  0.000
B  0.000  0.446  0.000

***

# 5
Compound: Ta2CuO6
Source: the Materials Project
Functional: PBE-GGA
Structure: optimized geometry

Results
- SG: P1, No. 1
- Calculated formation energy: -2.7202 eV per atom
- VASP energy: -77.86 eV/cell
- ρ: 7.72 Mg/m³

Cell: 5.699 5.385 5.389 Å, 58.47 58.06 58.10°
Atoms (fractional coordinates):
Ta  0.002  0.002  0.993
Ta  0.497  0.507  0.498
Cu  0.750  0.838  0.662
O  0.163  0.774  0.349
O  0.338  0.150  0.726
O  0.750  0.400  0.100
O  0.250  0.647  0.853
O  0.709  0.780  0.348
O  0.791  0.152  0.720

***

# 6
Compound: TaSnP3O12
Source: the Materials Project
Functional: PBE-GGA
Structure: optimized geometry

Results
- Calculated formation energy: -2.7733 eV per atom
- VASP energy: -782.31 eV/cell
- ρ: 3.88 Mg/m³

Cell: 8.751 8.751 22.620 Å, 90.00 90.00 120.00°
Atoms (fractional coordinates):
Ta  0.000  0.000  0.642
Ta  0.000  0.000  0.142
Ta  0.667  0.333  0.976
Ta  0.667  0.333  0.476
Ta  0.333  0.667  0.309
Ta  0.333  0.667  0.809
Sn  0.000  0.000  0.354
Sn  0.000  0.000  0.854
Sn  0.667  0.333  0.688
Sn  0.667  0.333  0.188
Sn  0.333  0.667  0.021
Sn  0.333  0.667  0.521
P  0.289  0.003  0.250
P  0.714  0.711  0.250
P  0.997  0.286  0.250
P  0.289  0.286  0.750
P  0.997  0.711  0.750
P  0.714  0.003  0.750
P  0.955  0.336  0.583
P  0.381  0.045  0.583
P  0.664  0.619  0.583
P  0.955  0.619  0.083
P  0.664  0.045  0.083
P  0.381  0.336  0.083
P  0.622  0.669  0.916
P  0.048  0.378  0.916
P  0.331  0.952  0.916
P  0.622  0.952  0.416
P  0.331  0.378  0.416
P  0.048  0.669  0.416
O  0.210  0.034  0.305
O  0.824  0.790  0.305
O  0.966  0.176  0.305
O  0.210  0.176  0.805
O  0.966  0.790  0.805
O  0.824  0.034  0.805
O  0.800  0.968  0.695
O  0.168  0.200  0.695
O  0.032  0.832  0.695
O  0.800  0.832  0.195
O  0.032  0.200  0.195
O  0.168  0.968  0.195
O  0.876  0.367  0.639
O  0.491  0.124  0.639
O  0.633  0.509  0.639
O  0.876  0.509  0.139
O  0.633  0.124  0.139
O  0.491  0.367  0.139
O  0.466  0.301  0.028
O  0.835  0.534  0.028
O  0.699  0.165  0.028
O  0.466  0.165  0.528
O  0.699  0.534  0.528
O  0.835  0.301  0.528
O  0.543  0.701  0.972
O  0.158  0.457  0.972
O  0.299  0.842  0.972
O  0.543  0.842  0.472
O  0.299  0.457  0.472
O  0.158  0.701  0.472
O  0.133  0.635  0.362
O  0.501  0.867  0.362
O  0.365  0.499  0.362
O  0.133  0.499  0.862
O  0.365  0.867  0.862
O  0.501  0.635  0.862
O  0.022  0.827  0.408
O  0.805  0.978  0.408
O  0.173  0.195  0.408
O  0.022  0.195  0.908
O  0.173  0.978  0.908
O  0.805  0.827  0.908
O  0.972  0.168  0.593
O  0.196  0.028  0.593
O  0.832  0.804  0.593
O  0.972  0.804  0.093
O  0.832  0.028  0.093
O  0.196  0.168  0.093
O  0.689  0.160  0.741
O  0.472  0.311  0.741
O  0.840  0.528  0.741
O  0.689  0.528  0.241
O  0.840  0.311  0.241
O  0.472  0.160  0.241
O  0.639  0.501  0.926
O  0.863  0.361  0.926
O  0.499  0.137  0.926
O  0.639  0.137  0.426
O  0.499  0.361  0.426
O  0.863  0.501  0.426
O  0.355  0.494  0.075
O  0.138  0.645  0.075
O  0.506  0.862  0.075
O  0.355  0.862  0.575
O  0.506  0.645  0.575
O  0.138  0.494  0.575
O  0.305  0.835  0.260
O  0.529  0.695  0.260
O  0.165  0.471  0.260
O  0.305  0.471  0.760
O  0.165  0.695  0.760
O  0.529  0.835  0.760

***

Number 5 is which compound? Ta2CuO6